1.
Computed, not measured: a geometry-optimized CaCr3P4O14 structure at the PBE with a Hubbard U level of DFT.

Output
Theoretical density (g cm⁻³): 3.3
V (Å³/atom): 12.3
Energy relative to the elements (eV per formula unit): -58.8

Cell lengths 7.995, 7.550, 9.562 Å; angles 69.97, 90.00, 90.00 degrees
Element x y z (fractional)
P 0.795 0.883 0.307
P 0.705 0.883 0.807
P 0.943 0.405 0.703
P 0.443 0.595 0.797
P 0.205 0.117 0.693
P 0.057 0.595 0.297
P 0.295 0.117 0.193
P 0.557 0.405 0.203
O 0.120 0.318 0.674
O 0.513 0.607 0.188
O 0.788 0.986 0.136
O 0.288 0.014 0.364
O 0.712 0.986 0.636
O 0.817 0.377 0.592
O 0.987 0.607 0.688
O 0.127 0.170 0.113
O 0.620 0.682 0.826
O 0.487 0.393 0.812
O 0.880 0.682 0.326
O 0.683 0.377 0.092
O 0.380 0.318 0.174
O 0.183 0.623 0.408
O 0.317 0.623 0.908
O 0.105 0.703 0.133
O 0.895 0.297 0.867
O 0.395 0.703 0.633
O 0.627 0.830 0.387
O 0.212 0.014 0.864
O 0.590 0.985 0.881
O 0.873 0.830 0.887
O 0.373 0.170 0.613
O 0.013 0.393 0.312
O 0.090 0.015 0.619
O 0.910 0.985 0.381
O 0.605 0.297 0.367
O 0.410 0.015 0.119
Cr 0.500 0.000 0.500
Cr 0.370 0.810 0.023
Cr 0.630 0.190 0.977
Cr 0.870 0.190 0.477
Cr 0.000 0.000 0.000
Cr 0.130 0.810 0.523
Ca 0.500 0.500 0.500
Ca 0.000 0.500 0.000

=====

2.
Computed, not measured: a geometry-optimized SrCaCrP2O8 structure at the PBE with a Hubbard U level of DFT.

Output
Theoretical density (g cm⁻³): 3.5
V (Å³/atom): 13.4
Energy relative to the elements (eV per formula unit): -39.5

Cell lengths 5.918, 6.932, 9.460 Å; angles 108.95, 102.37, 98.57 degrees
Element x y z (fractional)
Sr 0.277 0.810 0.062
Sr 0.723 0.190 0.938
O 0.408 0.586 0.390
O 0.046 0.735 0.603
O 0.274 0.006 0.877
O 0.347 0.200 0.245
O 0.613 0.453 0.172
O 0.726 0.994 0.123
O 0.160 0.437 0.119
O 0.353 0.062 0.640
O 0.592 0.414 0.610
O 0.387 0.547 0.828
O 0.653 0.800 0.755
O 0.954 0.265 0.397
O 0.047 0.909 0.306
O 0.647 0.938 0.360
O 0.953 0.091 0.694
O 0.840 0.563 0.881
Cr 0.655 0.844 0.548
Cr 0.345 0.156 0.452
P 0.839 0.029 0.293
P 0.388 0.416 0.227
P 0.612 0.584 0.773
P 0.161 0.971 0.707
Ca 0.001 0.419 0.664
Ca 0.999 0.581 0.336

=====

3.
Computed, not measured: a geometry-optimized CaTiCrP3O12 structure at the PBE with a Hubbard U level of DFT.

Output
Theoretical density (g cm⁻³): 3.0
V (Å³/atom): 13.1
Energy relative to the elements (eV per formula unit): -53.8

Cell lengths 8.851, 8.851, 8.851 Å; angles 58.39, 58.39, 58.39 degrees
Element x y z (fractional)
O 0.372 0.206 0.000
O 0.922 0.057 0.272
O 0.436 0.582 0.227
O 0.872 0.500 0.706
O 0.422 0.772 0.557
O 0.000 0.372 0.206
O 0.009 0.622 0.795
O 0.622 0.795 0.009
O 0.272 0.922 0.057
O 0.206 0.000 0.372
O 0.706 0.872 0.500
O 0.509 0.295 0.122
O 0.227 0.436 0.582
O 0.727 0.082 0.936
O 0.557 0.422 0.772
O 0.936 0.727 0.082
O 0.500 0.706 0.872
O 0.772 0.557 0.422
O 0.795 0.009 0.622
O 0.122 0.509 0.295
O 0.082 0.936 0.727
O 0.057 0.272 0.922
O 0.295 0.122 0.509
O 0.582 0.227 0.436
Ti 0.147 0.147 0.147
Ti 0.647 0.647 0.647
P 0.961 0.540 0.251
P 0.751 0.040 0.461
P 0.540 0.251 0.961
P 0.461 0.751 0.040
P 0.251 0.961 0.540
P 0.040 0.461 0.751
Ca 0.998 0.998 0.998
Ca 0.498 0.498 0.498
Cr 0.854 0.854 0.854
Cr 0.354 0.354 0.354

=====

4.
Computed, not measured: a geometry-optimized CaPrZrCrO6 structure at the PBE with a Hubbard U level of DFT.

Output
Theoretical density (g cm⁻³): 5.4
V (Å³/atom): 13.0
Energy relative to the elements (eV per formula unit): -32.2

Cell lengths 5.687, 5.687, 5.687 Å; angles 60.00, 60.00, 60.00 degrees
Element x y z (fractional)
O 0.756 0.244 0.244
O 0.244 0.756 0.244
O 0.244 0.244 0.756
O 0.756 0.244 0.756
O 0.244 0.756 0.756
O 0.756 0.756 0.244
Pr 0.750 0.750 0.750
Zr 0.500 0.500 0.500
Cr 0.000 0.000 0.000
Ca 0.250 0.250 0.250

=====

5.
Computed, not measured: a geometry-optimized Sr4CaCr2S2O6 structure at the PBE with a Hubbard U level of DFT.

Output
Theoretical density (g cm⁻³): 4.2
V (Å³/atom): 17.4
Energy relative to the elements (eV per formula unit): -39.7

Cell lengths 3.969, 17.021, 7.942 Å; angles 76.51, 90.00, 90.00 degrees
Element x y z (fractional)
Sr 0.250 0.795 0.477
Sr 0.750 0.418 0.416
Sr 0.250 0.795 0.977
Sr 0.750 0.205 0.023
Sr 0.750 0.418 0.916
Sr 0.750 0.205 0.523
Sr 0.250 0.582 0.584
Sr 0.250 0.582 0.084
Ca 0.250 0.000 0.125
Ca 0.250 0.000 0.625
O 0.250 0.434 0.658
O 0.750 0.697 0.026
O 0.250 0.700 0.275
O 0.250 0.699 0.775
O 0.250 0.434 0.158
O 0.750 0.301 0.225
O 0.750 0.697 0.526
O 0.250 0.303 0.974
O 0.750 0.566 0.342
O 0.250 0.303 0.474
O 0.750 0.301 0.725
O 0.750 0.566 0.842
S 0.750 0.887 0.181
S 0.750 0.887 0.681
S 0.250 0.113 0.819
S 0.250 0.113 0.319
Cr 0.750 0.682 0.284
Cr 0.750 0.682 0.784
Cr 0.250 0.318 0.716
Cr 0.250 0.318 0.216

=====

6.
Computed, not measured: a geometry-optimized Ca2CrSbO6 structure at the PBE with a Hubbard U level of DFT.

Output
Theoretical density (g cm⁻³): 4.9
V (Å³/atom): 12.0
Energy relative to the elements (eV per formula unit): -26.8

Cell lengths 5.453, 5.602, 7.840 Å; angles 90.00, 90.00, 89.99 degrees
Element x y z (fractional)
O 0.804 0.792 0.549
O 0.705 0.303 0.952
O 0.903 0.530 0.250
O 0.097 0.470 0.750
O 0.295 0.697 0.048
O 0.586 0.028 0.250
O 0.414 0.972 0.750
O 0.295 0.697 0.452
O 0.804 0.792 0.951
O 0.705 0.303 0.548
O 0.196 0.208 0.451
O 0.196 0.208 0.049
Ca 0.004 0.959 0.250
Ca 0.516 0.565 0.750
Ca 0.996 0.041 0.750
Ca 0.484 0.435 0.250
Cr 0.500 0.000 0.500
Cr 0.500 0.000 0.000
Sb 0.000 0.500 0.000
Sb 0.000 0.500 0.500

=====

7.
Computed, not measured: a geometry-optimized Ca2CrSbO6 structure at the PBE with a Hubbard U level of DFT.

Output
Theoretical density (g cm⁻³): 4.9
V (Å³/atom): 12.0
Energy relative to the elements (eV per formula unit): -27.1

Cell lengths 5.477, 5.602, 15.597 Å; angles 90.00, 90.22, 90.00 degrees
Element x y z (fractional)
O 0.700 0.293 0.725
O 0.407 0.969 0.626
O 0.704 0.297 0.024
O 0.704 0.297 0.524
O 0.907 0.531 0.376
O 0.800 0.793 0.025
O 0.796 0.797 0.726
O 0.204 0.203 0.773
O 0.296 0.703 0.477
O 0.300 0.707 0.275
O 0.800 0.793 0.525
O 0.093 0.470 0.624
O 0.593 0.031 0.874
O 0.907 0.531 0.876
O 0.296 0.703 0.976
O 0.204 0.203 0.273
O 0.407 0.969 0.126
O 0.700 0.293 0.225
O 0.093 0.469 0.124
O 0.300 0.707 0.775
O 0.200 0.207 0.975
O 0.200 0.207 0.475
O 0.796 0.797 0.226
O 0.593 0.031 0.374
Ca 0.988 0.049 0.625
Ca 0.488 0.451 0.375
Ca 0.488 0.451 0.875
Ca 0.012 0.951 0.375
Ca 0.988 0.049 0.125
Ca 0.012 0.951 0.875
Ca 0.512 0.549 0.625
Ca 0.512 0.549 0.125
Cr 0.000 0.500 0.750
Cr 0.500 0.000 0.000
Cr 0.000 0.500 0.250
Cr 0.500 0.000 0.500
Sb 0.000 0.500 0.000
Sb 0.000 0.500 0.500
Sb 0.500 0.000 0.750
Sb 0.500 0.000 0.250

=====

8.
Computed, not measured: a geometry-optimized CaCr2Si8O20 structure at the PBE with a Hubbard U level of DFT.

Output
Theoretical density (g cm⁻³): 2.7
V (Å³/atom): 13.7
Energy relative to the elements (eV per formula unit): -93.8

Cell lengths 7.406, 7.406, 15.462 Å; angles 90.00, 90.00, 90.00 degrees
Element x y z (fractional)
O 0.703 0.711 0.752
O 0.395 0.772 0.411
O 0.272 0.895 0.911
O 0.393 0.244 0.919
O 0.042 0.256 0.871
O 0.228 0.395 0.589
O 0.954 0.244 0.374
O 0.756 0.542 0.371
O 0.244 0.458 0.371
O 0.107 0.744 0.581
O 0.744 0.893 0.419
O 0.046 0.756 0.374
O 0.256 0.107 0.419
O 0.607 0.756 0.919
O 0.789 0.797 0.252
O 0.244 0.046 0.626
O 0.244 0.607 0.081
O 0.605 0.228 0.411
O 0.711 0.297 0.248
O 0.893 0.256 0.581
O 0.458 0.756 0.629
O 0.211 0.203 0.252
O 0.744 0.042 0.129
O 0.772 0.605 0.589
O 0.895 0.728 0.089
O 0.454 0.256 0.126
O 0.256 0.958 0.129
O 0.203 0.789 0.748
O 0.756 0.393 0.081
O 0.289 0.703 0.248
O 0.744 0.454 0.874
O 0.256 0.546 0.874
O 0.105 0.272 0.089
O 0.797 0.211 0.748
O 0.542 0.244 0.629
O 0.546 0.744 0.126
O 0.728 0.105 0.911
O 0.958 0.744 0.871
O 0.297 0.289 0.752
O 0.756 0.954 0.626
Si 0.748 0.827 0.149
Si 0.327 0.755 0.148
Si 0.752 0.327 0.351
Si 0.673 0.245 0.148
Si 0.827 0.745 0.352
Si 0.173 0.255 0.352
Si 0.173 0.748 0.851
Si 0.255 0.827 0.648
Si 0.827 0.252 0.851
Si 0.745 0.173 0.648
Si 0.245 0.327 0.852
Si 0.755 0.673 0.852
Si 0.673 0.752 0.649
Si 0.327 0.248 0.649
Si 0.252 0.173 0.149
Si 0.248 0.673 0.351
Ca 0.500 0.500 0.000
Ca 0.000 0.000 0.500
Cr 0.500 0.000 0.917
Cr 0.500 0.000 0.417
Cr 0.000 0.500 0.583
Cr 0.000 0.500 0.083